Material: NbO2
Method: DFT, GGA-PBE
State: relaxed

Values from the calculation:
* DFT formation energy: -2.80 eV/atom
* symmetry: C2/m
* uncorrected energy: -9.01 eV per atom

abc: 6.8624 6.8624 6.9077
angles: 73.19 73.19 33.78
Closest atoms and distances in Å follow each position.
Element x y z (fractional)
O 0.1372 0.1372 0.4968  2 Nb 1.89-1.95
Nb 0.9003 0.9003 0.2070  4 O 1.95-2.06
Nb 0.0997 0.0997 0.7930  4 O 1.95-2.06
O 0.3634 0.3634 0.1933  3 Nb 2.06-2.18
O 0.6366 0.6366 0.8067  3 Nb 2.06-2.18
Nb 0.8049 0.8049 0.7896  4 O 1.89-2.08
O 0.7402 0.7402 0.1524  3 Nb 2.08-2.25
O 0.2598 0.2598 0.8476  3 Nb 2.08-2.25
Nb 0.1951 0.1951 0.2104  4 O 1.89-2.08
O 0.0566 0.0566 0.1373  2 Nb 1.96-2.03
O 0.8628 0.8628 0.5032  2 Nb 1.89-1.95
O 0.9434 0.9434 0.8627  2 Nb 1.96-2.03